The following is a PBE calculation of a relaxed CsTa2P5O18 crystal, from Materials Project.

Cell lengths 5.2157, 11.0814, 14.6281 Å; angles 82.95, 87.15, 85.12 degrees
Element x y z (fractional)
Cs  0.2135  0.4034  0.1209
Cs  0.7865  0.5966  0.8791
Ta  0.2054  0.2101  0.4911
Ta  0.2499  0.9426  0.1468
Ta  0.7501  0.0574  0.8532
Ta  0.7946  0.7899  0.5089
P  0.1013  0.4130  0.6535
P  0.2075  0.2687  0.8316
P  0.2765  0.8716  0.9226
P  0.2869  0.9456  0.3882
P  0.3031  0.6503  0.6390
P  0.6969  0.3497  0.3610
P  0.7131  0.0544  0.6118
P  0.7235  0.1284  0.0774
P  0.7925  0.7313  0.1684
P  0.8988  0.5870  0.3465
O  0.0359  0.8011  0.1766
O  0.0419  0.8968  0.4378
O  0.0604  0.9444  0.8616
O  0.0633  0.7256  0.5935
O  0.1002  0.3360  0.5713
O  0.1482  0.5380  0.3094
O  0.1846  0.3614  0.8966
O  0.2458  0.9298  0.0165
O  0.2633  0.7378  0.9346
O  0.2626  0.9542  0.2842
O  0.2753  0.3281  0.7260
O  0.2894  0.5149  0.6102
O  0.3134  0.0740  0.4161
O  0.3159  0.6554  0.7387
O  0.4365  0.1699  0.8448
O  0.4605  0.3071  0.4228
O  0.4635  0.0842  0.1231
O  0.4749  0.1389  0.5812
O  0.5251  0.8611  0.4188
O  0.5365  0.9158  0.8769
O  0.5395  0.6929  0.5772
O  0.5635  0.8301  0.1552
O  0.6841  0.3446  0.2613
O  0.6866  0.9260  0.5839
O  0.7106  0.4851  0.3898
O  0.7247  0.6719  0.2740
O  0.7374  0.0458  0.7158
O  0.7367  0.2622  0.0654
O  0.7542  0.0702  0.9835
O  0.8154  0.6386  0.1034
O  0.8518  0.4620  0.6906
O  0.8998  0.6640  0.4287
O  0.9367  0.2744  0.4065
O  0.9396  0.0556  0.1384
O  0.9581  0.1032  0.5622
O  0.9641  0.1989  0.8234

Calculated volume, Å³/f.u.: 417.7
Formation enthalpy at 0 K, kJ per mole of atoms: -277.9

=====

The following is a PBE calculation of a relaxed CsTbP2O7 crystal, from Materials Project.

Cell lengths 8.0066, 11.1173, 8.9249 Å; angles 90.00, 104.99, 90.00 degrees
Element x y z (fractional)
Cs  0.1881  0.1852  0.0556
Cs  0.1881  0.3148  0.5556
Cs  0.8119  0.6852  0.4444
Cs  0.8119  0.8148  0.9444
Tb  0.2380  0.5992  0.2573
Tb  0.2380  0.9008  0.7573
Tb  0.7620  0.0992  0.2427
Tb  0.7620  0.4008  0.7427
P  0.1343  0.5979  0.8253
P  0.1343  0.9021  0.3253
P  0.4297  0.6319  0.6895
P  0.4297  0.8681  0.1895
P  0.5703  0.1319  0.8105
P  0.5703  0.3681  0.3105
P  0.8657  0.0979  0.6747
P  0.8657  0.4021  0.1747
O  0.0071  0.5043  0.7318
O  0.0071  0.9957  0.2318
O  0.0867  0.7253  0.7617
O  0.0867  0.7747  0.2617
O  0.1528  0.5894  0.9987
O  0.1528  0.9106  0.4987
O  0.3232  0.5636  0.7993
O  0.3232  0.9364  0.2993
O  0.3294  0.6074  0.5216
O  0.3294  0.8926  0.0216
O  0.3916  0.0729  0.7677
O  0.3916  0.4271  0.2677
O  0.4424  0.7349  0.2348
O  0.4424  0.7651  0.7348
O  0.5576  0.2349  0.2652
O  0.5576  0.2651  0.7652
O  0.6084  0.5729  0.7323
O  0.6084  0.9271  0.2323
O  0.6706  0.1074  0.9784
O  0.6706  0.3926  0.4784
O  0.6768  0.0636  0.7007
O  0.6768  0.4364  0.2007
O  0.8472  0.0894  0.5013
O  0.8472  0.4106  0.0013
O  0.9133  0.2253  0.7383
O  0.9133  0.2747  0.2383
O  0.9929  0.0043  0.7682
O  0.9929  0.4957  0.2682

Calculated volume, Å³/f.u.: 191.8
Formation enthalpy at 0 K, kJ per mole of atoms: -303.6

=====

The following is a PBE calculation of a relaxed Cs2TePO10 crystal, from Materials Project.

Cell lengths 7.3000, 18.7513, 11.0292 Å; angles 90.00, 130.37, 90.00 degrees
Element x y z (fractional)
Cs  0.0728  0.0523  0.3389
Cs  0.0728  0.4477  0.8389
Cs  0.2741  0.1586  0.0188
Cs  0.2741  0.3414  0.5188
Cs  0.7259  0.6586  0.4812
Cs  0.7259  0.8414  0.9812
Cs  0.9272  0.5523  0.1611
Cs  0.9272  0.9477  0.6611
Te  0.2317  0.6893  0.9856
Te  0.2317  0.8107  0.4856
Te  0.7683  0.1893  0.5144
Te  0.7683  0.3107  0.0144
P  0.4181  0.5491  0.6773
P  0.4181  0.9509  0.1773
P  0.5819  0.0491  0.8227
P  0.5819  0.4509  0.3227
O  0.0148  0.1207  0.6471
O  0.0148  0.3793  0.1471
O  0.0417  0.7245  0.3788
O  0.0417  0.7755  0.8788
O  0.1410  0.6812  0.1135
O  0.1410  0.8188  0.6135
O  0.1752  0.5431  0.6373
O  0.1752  0.9569  0.1373
O  0.3090  0.7194  0.8503
O  0.3090  0.7806  0.3503
O  0.3914  0.5528  0.5273
O  0.3914  0.9472  0.0273
O  0.4053  0.5121  0.2144
O  0.4053  0.9879  0.7144
O  0.4608  0.1181  0.7209
O  0.4608  0.3819  0.2209
O  0.4906  0.6208  0.0968
O  0.4906  0.8792  0.5968
O  0.4970  0.7409  0.6026
O  0.4970  0.7591  0.1026
O  0.5030  0.2409  0.8974
O  0.5030  0.2591  0.3974
O  0.5094  0.1208  0.4032
O  0.5094  0.3792  0.9032
O  0.5392  0.6181  0.7791
O  0.5392  0.8819  0.2791
O  0.5947  0.0121  0.2856
O  0.5947  0.4879  0.7856
O  0.6086  0.0528  0.9727
O  0.6086  0.4472  0.4727
O  0.6910  0.2194  0.6497
O  0.6910  0.2806  0.1497
O  0.8248  0.0431  0.8627
O  0.8248  0.4569  0.3627
O  0.8590  0.1812  0.3865
O  0.8590  0.3188  0.8865
O  0.9583  0.2245  0.1212
O  0.9583  0.2755  0.6212
O  0.9852  0.6207  0.8529
O  0.9852  0.8793  0.3529

Calculated volume, Å³/f.u.: 287.6
Formation enthalpy at 0 K, kJ per mole of atoms: -119.8

=====

The following is a PBE calculation of a relaxed Cs4TeP3O18 crystal, from Materials Project.

Cell lengths 8.6476, 13.9566, 9.8138 Å; angles 90.00, 106.78, 90.00 degrees
Element x y z (fractional)
Cs  0.0087  0.2500  0.4843
Cs  0.2384  0.0084  0.2376
Cs  0.2384  0.4916  0.2376
Cs  0.4658  0.7500  0.9898
Cs  0.5342  0.2500  0.0102
Cs  0.7616  0.5084  0.7624
Cs  0.7616  0.9916  0.7624
Cs  0.9913  0.7500  0.5157
Te  0.4789  0.7500  0.4935
Te  0.5211  0.2500  0.5065
P  0.0129  0.2500  0.0096
P  0.2517  0.0078  0.7816
P  0.2517  0.4922  0.7816
P  0.7483  0.5078  0.2184
P  0.7483  0.9922  0.2184
P  0.9871  0.7500  0.9904
O  0.0882  0.6574  0.0235
O  0.0882  0.8426  0.0235
O  0.1076  0.2500  0.1690
O  0.1136  0.0777  0.7125
O  0.1136  0.4223  0.7125
O  0.1290  0.2500  0.9158
O  0.1953  0.5978  0.7743
O  0.1953  0.9022  0.7743
O  0.3123  0.6527  0.4603
O  0.3123  0.8473  0.4603
O  0.3182  0.0470  0.9342
O  0.3182  0.4530  0.9342
O  0.3574  0.1527  0.4854
O  0.3574  0.3473  0.4854
O  0.3846  0.0021  0.7046
O  0.3846  0.4979  0.7046
O  0.3860  0.7500  0.2879
O  0.4529  0.2500  0.3018
O  0.5471  0.7500  0.6982
O  0.6140  0.2500  0.7121
O  0.6154  0.5021  0.2954
O  0.6154  0.9979  0.2954
O  0.6426  0.6527  0.5146
O  0.6426  0.8473  0.5146
O  0.6818  0.5470  0.0658
O  0.6818  0.9530  0.0658
O  0.6877  0.1527  0.5397
O  0.6877  0.3473  0.5397
O  0.8047  0.0978  0.2257
O  0.8047  0.4022  0.2257
O  0.8710  0.7500  0.0842
O  0.8864  0.5777  0.2875
O  0.8864  0.9223  0.2875
O  0.8924  0.7500  0.8310
O  0.9118  0.1574  0.9765
O  0.9118  0.3426  0.9765

Calculated volume, Å³/f.u.: 567.0
Formation enthalpy at 0 K, kJ per mole of atoms: -156.2

=====

The following is a PBE calculation of a relaxed CsTh2P3O12 crystal, from Materials Project.

Cell lengths 9.7361, 9.7361, 8.2599 Å; angles 102.52, 102.52, 42.31 degrees
Element x y z (fractional)
Cs  0.0905  0.9095  0.7500
Cs  0.9095  0.0905  0.2500
Th  0.2519  0.4375  0.9683
Th  0.4375  0.2519  0.4683
Th  0.5625  0.7481  0.5317
Th  0.7481  0.5625  0.0317
P  0.1016  0.2848  0.6799
P  0.2848  0.1016  0.1799
P  0.4091  0.5909  0.2500
P  0.5909  0.4091  0.7500
P  0.7152  0.8984  0.8201
P  0.8984  0.7152  0.3201
O  0.0528  0.3581  0.8680
O  0.0538  0.2416  0.1453
O  0.1014  0.5878  0.4306
O  0.2234  0.3312  0.6700
O  0.2416  0.0538  0.6453
O  0.2625  0.6800  0.0893
O  0.3200  0.7375  0.4107
O  0.3312  0.2234  0.1700
O  0.3581  0.0528  0.3680
O  0.3994  0.4572  0.7580
O  0.4122  0.8986  0.0694
O  0.4572  0.3994  0.2580
O  0.5428  0.6006  0.7420
O  0.5878  0.1014  0.9306
O  0.6006  0.5428  0.2420
O  0.6419  0.9472  0.6320
O  0.6688  0.7766  0.8300
O  0.6800  0.2625  0.5893
O  0.7375  0.3200  0.9107
O  0.7584  0.9462  0.3547
O  0.7766  0.6688  0.3300
O  0.8986  0.4122  0.5694
O  0.9462  0.7584  0.8547
O  0.9472  0.6419  0.1320

Calculated volume, Å³/f.u.: 256.3
Formation enthalpy at 0 K, kJ per mole of atoms: -322.8

=====

The following is a PBE calculation of a relaxed CsTi3P5O19 crystal, from Materials Project.

Cell lengths 10.1260, 10.1260, 8.9186 Å; angles 95.75, 95.75, 112.77 degrees
Element x y z (fractional)
Cs  0.0685  0.9315  0.5000
Cs  0.9315  0.0685  0.0000
Ti  0.0066  0.5086  0.1618
Ti  0.2549  0.4747  0.6702
Ti  0.4747  0.2549  0.1702
Ti  0.5086  0.0066  0.6618
Ti  0.5358  0.7561  0.1514
Ti  0.7561  0.5358  0.6514
P  0.0874  0.6712  0.8452
P  0.2750  0.4213  0.0320
P  0.3032  0.7091  0.4111
P  0.3409  0.9248  0.9757
P  0.4213  0.2750  0.5320
P  0.5906  0.7363  0.7886
P  0.6712  0.0874  0.3452
P  0.7091  0.3032  0.9111
P  0.7363  0.5906  0.2886
P  0.9248  0.3409  0.4757
O  0.0398  0.6015  0.9854
O  0.0520  0.3488  0.5874
O  0.1496  0.4246  0.1166
O  0.1638  0.6779  0.2962
O  0.1694  0.8429  0.9102
O  0.1911  0.6225  0.7697
O  0.2244  0.3863  0.8586
O  0.2775  0.5761  0.4941
O  0.2990  0.3165  0.5829
O  0.3165  0.2990  0.0829
O  0.3331  0.8478  0.5255
O  0.3488  0.0520  0.0874
O  0.3863  0.2244  0.3586
O  0.3899  0.8211  0.0510
O  0.4098  0.9716  0.8346
O  0.4119  0.5642  0.0698
O  0.4246  0.1496  0.6166
O  0.4359  0.7352  0.3269
O  0.4479  0.6000  0.7516
O  0.5642  0.4119  0.5698
O  0.5761  0.2775  0.9941
O  0.5865  0.8616  0.7040
O  0.6000  0.4479  0.2516
O  0.6015  0.0398  0.4854
O  0.6225  0.1911  0.2697
O  0.6271  0.7889  0.9620
O  0.6649  0.9611  0.2324
O  0.6779  0.1638  0.7962
O  0.6950  0.7130  0.2376
O  0.7130  0.6950  0.7376
O  0.7352  0.4359  0.8269
O  0.7889  0.6271  0.4620
O  0.8211  0.3899  0.5510
O  0.8429  0.1694  0.4102
O  0.8478  0.3331  0.0255
O  0.8616  0.5865  0.2040
O  0.9611  0.6649  0.7324
O  0.9716  0.4098  0.3346

Calculated volume, Å³/f.u.: 414.6
Formation enthalpy at 0 K, kJ per mole of atoms: -289.5

=====

Copy entry 1 word for word.
The following is a PBE calculation of a relaxed CsTa2P5O18 crystal, from Materials Project.

Cell lengths 5.2157, 11.0814, 14.6281 Å; angles 82.95, 87.15, 85.12 degrees
Element x y z (fractional)
Cs  0.2135  0.4034  0.1209
Cs  0.7865  0.5966  0.8791
Ta  0.2054  0.2101  0.4911
Ta  0.2499  0.9426  0.1468
Ta  0.7501  0.0574  0.8532
Ta  0.7946  0.7899  0.5089
P  0.1013  0.4130  0.6535
P  0.2075  0.2687  0.8316
P  0.2765  0.8716  0.9226
P  0.2869  0.9456  0.3882
P  0.3031  0.6503  0.6390
P  0.6969  0.3497  0.3610
P  0.7131  0.0544  0.6118
P  0.7235  0.1284  0.0774
P  0.7925  0.7313  0.1684
P  0.8988  0.5870  0.3465
O  0.0359  0.8011  0.1766
O  0.0419  0.8968  0.4378
O  0.0604  0.9444  0.8616
O  0.0633  0.7256  0.5935
O  0.1002  0.3360  0.5713
O  0.1482  0.5380  0.3094
O  0.1846  0.3614  0.8966
O  0.2458  0.9298  0.0165
O  0.2633  0.7378  0.9346
O  0.2626  0.9542  0.2842
O  0.2753  0.3281  0.7260
O  0.2894  0.5149  0.6102
O  0.3134  0.0740  0.4161
O  0.3159  0.6554  0.7387
O  0.4365  0.1699  0.8448
O  0.4605  0.3071  0.4228
O  0.4635  0.0842  0.1231
O  0.4749  0.1389  0.5812
O  0.5251  0.8611  0.4188
O  0.5365  0.9158  0.8769
O  0.5395  0.6929  0.5772
O  0.5635  0.8301  0.1552
O  0.6841  0.3446  0.2613
O  0.6866  0.9260  0.5839
O  0.7106  0.4851  0.3898
O  0.7247  0.6719  0.2740
O  0.7374  0.0458  0.7158
O  0.7367  0.2622  0.0654
O  0.7542  0.0702  0.9835
O  0.8154  0.6386  0.1034
O  0.8518  0.4620  0.6906
O  0.8998  0.6640  0.4287
O  0.9367  0.2744  0.4065
O  0.9396  0.0556  0.1384
O  0.9581  0.1032  0.5622
O  0.9641  0.1989  0.8234

Calculated volume, Å³/f.u.: 417.7
Formation enthalpy at 0 K, kJ per mole of atoms: -277.9